This record from Materials Project describes SmYAg2 after structural relaxation. The functional is GGA-PBE.

Cell: 7.377 7.377 7.377 Å, 90.00 90.00 90.00°
Space group Fm-3m (No. 225)
Symmetry-distinct sites (fractional):
Sm  0.000  0.000  0.000 x4
Y  0.000  0.000  0.500 x4
Ag  0.250  0.250  0.250 x8

Values from the calculation:
formation enthalpy at 0 K: -0.311 eV per atom
VASP energy: -4.5231 eV per atom